The following is a DFT calculation (PBE with a Hubbard U) of a relaxed NaV5O8 crystal.

Formation energy in eV per formula unit: -33.2
Mass density in kg/m³: 4074

a b c (Å): 5.5190 5.5190 10.6391
angles (deg): 102.46 102.46 31.58
Last column: nearest neighbours and their distance in Å.
Sites, in units of the cell vectors:
Na  0.0000  0.0000  0.0000  6 O 2.30-2.36
V  0.0035  0.9965  0.5000  6 O 2.14-2.19
V  0.2285  0.2456  0.8731  6 O 1.95-2.15
V  0.2425  0.2284  0.3678  5 O 1.94-2.16
V  0.7544  0.7715  0.1269  6 O 1.95-2.15
V  0.7716  0.7575  0.6322  5 O 1.94-2.16
O  0.1506  0.1539  0.6700  4 V 1.99-2.15
O  0.1825  0.1409  0.1838  3 V 1.94-2.08
O  0.3512  0.3593  0.0638  3 V 1.98-2.13
O  0.3711  0.3714  0.5506  5 V 2.15-2.19
O  0.6286  0.6289  0.4494  5 V 2.15-2.19
O  0.6407  0.6488  0.9362  3 V 1.98-2.13
O  0.8461  0.8494  0.3300  4 V 1.99-2.15
O  0.8591  0.8175  0.8162  3 V 1.94-2.08